1.
DFT (PBE) results for an optimized crystal structure of AlSi5C2O12.

POSCAR file:
```
AlSi5C2O12
1.0
6.455 4.600 0.000
-6.455 4.600 0.000
0.000 4.552 6.419
O Si C Al
12 5 2 1
Direct
0.348 0.998 0.351
0.354 0.708 0.645
0.710 0.363 0.650
0.637 0.290 0.350
0.645 0.986 0.656
0.002 0.652 0.649
0.645 0.355 0.000
0.352 0.352 0.296
0.356 0.644 0.000
0.648 0.648 0.704
0.292 0.646 0.355
0.014 0.355 0.344
0.500 0.747 0.750
0.753 0.505 0.750
0.253 0.500 0.250
0.495 0.247 0.250
0.249 0.751 0.500
0.980 0.020 0.085
0.980 0.020 0.915
0.752 0.248 0.500
```



2.
DFT (PBE) results for an optimized crystal structure of SrAl2C2O11.

POSCAR file:
```
SrAl2C2O11
1.0
6.180 0.000 0.000
0.000 9.123 0.000
0.000 0.000 15.677
Al O C Sr
8 44 8 4
Direct
0.974 0.659 0.202
0.026 0.341 0.798
0.474 0.341 0.798
0.026 0.159 0.298
0.526 0.659 0.202
0.974 0.841 0.702
0.526 0.841 0.702
0.474 0.159 0.298
0.750 0.064 0.288
0.750 0.280 0.754
0.250 0.720 0.246
0.750 0.601 0.962
0.434 0.092 0.183
0.750 0.899 0.462
0.566 0.260 0.906
0.566 0.908 0.817
0.434 0.740 0.094
0.066 0.092 0.183
0.250 0.211 0.793
0.566 0.592 0.317
0.250 0.289 0.293
0.750 0.262 0.527
0.434 0.760 0.594
0.250 0.738 0.473
0.250 0.762 0.973
0.750 0.436 0.788
0.250 0.054 0.344
0.750 0.711 0.707
0.934 0.592 0.317
0.250 0.044 0.064
0.250 0.780 0.746
0.250 0.446 0.844
0.750 0.789 0.207
0.750 0.238 0.027
0.750 0.946 0.656
0.750 0.220 0.254
0.750 0.544 0.436
0.250 0.564 0.212
0.934 0.908 0.817
0.066 0.760 0.594
0.066 0.740 0.094
0.066 0.408 0.683
0.250 0.936 0.712
0.434 0.408 0.683
0.250 0.399 0.038
0.750 0.554 0.156
0.934 0.240 0.406
0.934 0.260 0.906
0.250 0.101 0.538
0.750 0.956 0.936
0.250 0.456 0.564
0.566 0.240 0.406
0.250 0.755 0.553
0.250 0.422 0.642
0.750 0.578 0.358
0.250 0.078 0.142
0.750 0.255 0.947
0.750 0.245 0.447
0.250 0.745 0.053
0.750 0.922 0.858
0.750 0.978 0.093
0.250 0.478 0.407
0.250 0.022 0.907
0.750 0.522 0.593
```



3.
DFT (PBE) results for an optimized crystal structure of Sc3AlC.

POSCAR file:
```
Sc3AlC
1.0
4.512 0.000 0.000
0.000 4.512 0.000
0.000 0.000 4.512
Al Sc C
1 3 1
Direct
0.000 0.000 0.000
0.000 0.500 0.500
0.500 0.500 0.000
0.500 0.000 0.500
0.500 0.500 0.500
```



4.
DFT (PBE) results for an optimized crystal structure of Ta4AlC3.

POSCAR file:
```
Ta4AlC3
1.0
1.571 -2.721 0.000
1.571 2.721 0.000
0.000 0.000 24.256
C Ta Al
6 8 2
Direct
0.667 0.333 0.392
0.333 0.667 0.608
0.000 0.000 0.500
0.000 0.000 0.000
0.667 0.333 0.108
0.333 0.667 0.892
0.000 0.000 0.657
0.000 0.000 0.343
0.667 0.333 0.945
0.333 0.667 0.445
0.333 0.667 0.055
0.000 0.000 0.157
0.000 0.000 0.843
0.667 0.333 0.555
0.667 0.333 0.750
0.333 0.667 0.250
```

Output
Offset from the most stable computed form (eV per atom): 0.000



5.
DFT (PBE) results for an optimized crystal structure of Ta4AlC3.

POSCAR file:
```
Ta4AlC3
1.0
-2.379 -0.670 -1.884
1.800 -2.281 1.101
-14.860 -2.272 19.576
Ta C Al
8 6 2
Direct
0.667 0.333 0.341
0.667 0.333 0.945
0.667 0.333 0.555
0.667 0.333 0.159
0.333 0.667 0.659
0.333 0.667 0.055
0.333 0.667 0.445
0.333 0.667 0.841
0.000 0.000 0.890
0.000 0.000 0.610
0.000 0.000 0.110
0.000 0.000 0.000
0.000 0.000 0.390
0.000 0.000 0.500
0.667 0.333 0.750
0.333 0.667 0.250
```

Output
Offset from the most stable computed form (eV per atom): 0.077



6.
DFT (PBE) results for an optimized crystal structure of TaTiAlC.

POSCAR file:
```
TaTiAlC
1.0
1.544 -2.674 0.000
1.544 2.674 0.000
0.000 0.000 13.838
Ta C Al Ti
2 2 2 2
Direct
0.333 0.667 0.410
0.667 0.333 0.590
0.000 0.000 0.500
0.000 0.000 0.000
0.667 0.333 0.246
0.333 0.667 0.754
0.667 0.333 0.917
0.333 0.667 0.083
```



DFT formation energy per entry: -2.371; -1.793; -0.594; -0.575; -0.498; -0.622 eV per atom
Final energy per entry: -7.39; -6.60; -6.99; -10.43; -10.36; -8.80 eV/atom